--- A ---
This record from the Materials Project database describes a relaxed structure of Fe8O9. The functional is GGA+U.

Cell lengths 6.1912, 6.8355, 9.2625 Å; angles 102.96, 90.29, 103.73 degrees
Sites, in units of the cell vectors:
Fe1 0.0000 0.0000 0.0000
Fe2 0.0019 0.0076 0.3392
Fe3 0.1620 0.6702 0.4531
Fe4 0.1690 0.6740 0.1173
Fe5 0.3205 0.3509 0.8901
Fe6 0.3277 0.3394 0.5594
Fe7 0.3335 0.3274 0.2273
Fe8 0.4890 0.0016 0.9997
Fe9 0.4899 0.9988 0.6698
Fe10 0.6555 0.6778 0.4455
Fe11 0.6597 0.6744 0.1212
Fe12 0.6651 0.6636 0.7798
Fe13 0.8201 0.3261 0.2289
Fe14 0.8234 0.3325 0.5565
Fe15 0.8362 0.3461 0.8912
Fe16 0.9950 0.9979 0.6722
O1 0.0550 0.3103 0.7203
O2 0.0731 0.3270 0.0627
O3 0.0788 0.3361 0.3905
O4 0.2210 0.0046 0.5193
O5 0.2288 0.0056 0.1539
O6 0.2361 0.0249 0.8452
O7 0.4163 0.6489 0.2759
O8 0.4310 0.6714 0.6007
O9 0.4393 0.6694 0.9607
O10 0.5745 0.3279 0.7250
O11 0.5892 0.3503 0.0588
O12 0.5946 0.3657 0.3986
O13 0.7590 0.9901 0.5144
O14 0.7604 0.9955 0.1527
O15 0.7625 0.9987 0.8390
O16 0.8940 0.6716 0.2816
O17 0.8966 0.6813 0.6056
O18 0.9016 0.6820 0.9709

Results
space-group type = P1, No. 1
total magnetic moment = 68.00 Bohr magnetons per cell

---

--- B ---
This record from the Materials Project database describes a relaxed structure of Fe8O9. The functional is GGA+U.

Cell lengths 5.3110, 5.3525, 6.8289 Å; angles 82.15, 74.67, 80.75 degrees
Sites, in units of the cell vectors:
Fe1 0.0499 0.1083 0.2860
Fe2 0.1763 0.3179 0.8296
Fe3 0.2905 0.5507 0.3820
Fe4 0.3910 0.7895 0.9242
Fe5 0.6090 0.2105 0.0758
Fe6 0.7095 0.4493 0.6180
Fe7 0.8237 0.6821 0.1704
Fe8 0.9501 0.8917 0.7140
O1 0.0000 0.0000 0.0000
O2 0.0858 0.2558 0.5567
O3 0.2278 0.4514 0.1118
O4 0.3345 0.6467 0.6556
O5 0.4234 0.8801 0.2158
O6 0.5766 0.1199 0.7842
O7 0.6655 0.3533 0.3444
O8 0.7722 0.5486 0.8882
O9 0.9142 0.7442 0.4433

Results
space-group type = P-1, No. 2
total magnetic moment = 34.00 Bohr magnetons per cell

---

Of them, A has the highest stability.

---

--- A ---
This record from the Materials Project database describes a relaxed structure of Li3MnPCO7. The functional is GGA+U.

Cell lengths 5.1945, 6.7200, 8.7811 Å; angles 79.63, 88.42, 89.83 degrees
Sites, in units of the cell vectors:
Li1 0.0381 0.2383 0.2461
Li2 0.3242 0.8832 0.2709
Li3 0.4329 0.4907 0.2858
Li4 0.5671 0.5093 0.7142
Li5 0.6758 0.1168 0.7291
Li6 0.9619 0.7617 0.7539
Mn1 0.1506 0.2580 0.8683
Mn2 0.8494 0.7420 0.1317
P1 0.3481 0.7570 0.9256
P2 0.6519 0.2430 0.0744
C1 0.1969 0.2731 0.5568
C2 0.8031 0.7269 0.4432
O1 0.0294 0.7460 0.3790
O2 0.1886 0.9427 0.8502
O3 0.2398 0.2759 0.4115
O4 0.2612 0.5824 0.8419
O5 0.2724 0.7058 0.1019
O6 0.3566 0.2026 0.0967
O7 0.3915 0.2905 0.6474
O8 0.6085 0.7095 0.3526
O9 0.6434 0.7974 0.9033
O10 0.7276 0.2942 0.8981
O11 0.7388 0.4176 0.1581
O12 0.7602 0.7241 0.5885
O13 0.8114 0.0573 0.1498
O14 0.9706 0.2540 0.6210

Results
space-group type = P-1, No. 2
total magnetic moment = 10.00 Bohr magnetons per cell

---

--- B ---
This record from the Materials Project database describes a relaxed structure of Li3MnPCO7. The functional is GGA+U.

Cell lengths 4.9110, 6.5182, 8.6147 Å; angles 90.00, 94.35, 90.00 degrees
Sites, in units of the cell vectors:
Li1 0.2234 0.0000 0.3562
Li2 0.2247 0.5275 0.1056
Li3 0.2352 0.2488 0.7111
Li4 0.7648 0.7488 0.2889
Li5 0.7753 0.0275 0.8944
Li6 0.7766 0.5000 0.6438
Mn1 0.2563 0.7617 0.7349
Mn2 0.7437 0.2617 0.2651
P1 0.2795 0.5112 0.4068
P2 0.7205 0.0112 0.5932
C1 0.2942 0.0224 0.0429
C2 0.7058 0.5224 0.9571
O1 0.0417 0.0256 0.0685
O2 0.1739 0.3199 0.3109
O3 0.1748 0.6985 0.3099
O4 0.1822 0.5090 0.5740
O5 0.3688 0.0105 0.8985
O6 0.4007 0.0039 0.5804
O7 0.4849 0.0274 0.1561
O8 0.5151 0.5274 0.8439
O9 0.5993 0.5039 0.4196
O10 0.6312 0.5105 0.1015
O11 0.8178 0.0090 0.4260
O12 0.8252 0.1985 0.6901
O13 0.8261 0.8199 0.6891
O14 0.9583 0.5256 0.9315

Results
space-group type = P2_1, No. 4
total magnetic moment = 2.00 Bohr magnetons per cell
largest piezoelectric modulus = 5.43 C/m²

---

Of them, A has the highest stability.

---

--- A ---
This record from the Materials Project database describes a relaxed structure of Li3MnPCO7. The functional is GGA+U.

Cell lengths 5.0206, 6.5809, 8.6377 Å; angles 90.00, 96.55, 90.00 degrees
Sites, in units of the cell vectors:
Li1 0.2006 0.2500 0.1034
Li2 0.2708 0.5217 0.7323
Li3 0.2708 0.9783 0.7323
Li4 0.7292 0.0217 0.2677
Li5 0.7292 0.4783 0.2677
Li6 0.7994 0.7500 0.8966
Mn1 0.2189 0.7500 0.3413
Mn2 0.7811 0.2500 0.6587
P1 0.2626 0.2500 0.4066
P2 0.7374 0.7500 0.5934
C1 0.3294 0.7500 0.0394
C2 0.6706 0.2500 0.9606
O1 0.0810 0.7500 0.0636
O2 0.1516 0.0656 0.3059
O3 0.1516 0.4344 0.3059
O4 0.1750 0.2500 0.5718
O5 0.4017 0.7500 0.8993
O6 0.4236 0.7500 0.5783
O7 0.4880 0.2500 0.8391
O8 0.5120 0.7500 0.1609
O9 0.5764 0.2500 0.4217
O10 0.5983 0.2500 0.1007
O11 0.8250 0.7500 0.4282
O12 0.8484 0.5656 0.6941
O13 0.8484 0.9344 0.6941
O14 0.9190 0.2500 0.9364

Results
space-group type = P2_1/m, No. 11
total magnetic moment = 10.00 Bohr magnetons per cell

---

--- B ---
This record from the Materials Project database describes a relaxed structure of Li3MnPCO7. The functional is GGA+U.

Cell lengths 8.5863, 6.4815, 9.8550 Å; angles 90.00, 94.62, 90.00 degrees
Sites, in units of the cell vectors:
Li1 0.1009 0.2478 0.3651
Li2 0.1009 0.2522 0.8651
Li3 0.2836 0.0127 0.6327
Li4 0.2836 0.4873 0.1327
Li5 0.3509 0.7463 0.3603
Li6 0.3509 0.7537 0.8603
Li7 0.6491 0.2463 0.1397
Li8 0.6491 0.2537 0.6397
Li9 0.7164 0.5127 0.8673
Li10 0.7164 0.9873 0.3673
Li11 0.8991 0.7478 0.1349
Li12 0.8991 0.7522 0.6349
Mn1 0.2709 0.0016 0.1198
Mn2 0.2709 0.4984 0.6198
Mn3 0.7291 0.5016 0.3802
Mn4 0.7291 0.9984 0.8802
P1 0.4075 0.2486 0.3902
P2 0.4075 0.2514 0.8902
P3 0.5925 0.7486 0.1098
P4 0.5925 0.7514 0.6098
C1 0.0416 0.7484 0.3975
C2 0.0416 0.7516 0.8975
C3 0.9584 0.2484 0.1025
C4 0.9584 0.2516 0.6025
O1 0.0704 0.7411 0.7727
O2 0.0704 0.7589 0.2727
O3 0.1049 0.2476 0.0686
O4 0.1049 0.2524 0.5686
O5 0.1525 0.7409 0.4953
O6 0.1525 0.7591 0.9953
O7 0.3102 0.0577 0.3371
O8 0.3097 0.0616 0.8397
O9 0.3097 0.4384 0.3397
O10 0.3102 0.4423 0.8371
O11 0.4233 0.2499 0.0496
O12 0.4233 0.2501 0.5496
O13 0.4256 0.7450 0.1599
O14 0.4256 0.7550 0.6599
O15 0.5744 0.2450 0.3401
O16 0.5744 0.2550 0.8401
O17 0.5767 0.7499 0.4504
O18 0.5767 0.7501 0.9504
O19 0.6898 0.5577 0.1629
O20 0.6903 0.5616 0.6603
O21 0.6903 0.9384 0.1603
O22 0.6898 0.9423 0.6629
O23 0.8475 0.2409 0.0047
O24 0.8475 0.2591 0.5047
O25 0.8951 0.7476 0.4314
O26 0.8951 0.7524 0.9314
O27 0.9296 0.2411 0.7273
O28 0.9296 0.2589 0.2273

Results
space-group type = P2_1/c, No. 14
total magnetic moment = 20.01 Bohr magnetons per cell

---

Of them, A has the highest stability.

---

--- A ---
This record from the Materials Project database describes a relaxed structure of Li4Co3NiO8. The functional is GGA+U.

Cell lengths 5.8387, 5.8525, 10.0850 Å; angles 89.73, 73.42, 60.08 degrees
Sites, in units of the cell vectors:
Li1 0.0011 0.2483 0.2551
Li2 0.0045 0.7515 0.2514
Li3 0.4940 0.7583 0.7528
Li4 0.4983 0.7481 0.2493
Li5 0.5017 0.2519 0.7507
Li6 0.5060 0.2417 0.2472
Li7 0.9955 0.2485 0.7486
Li8 0.9989 0.7517 0.7449
Co1 0.0000 0.0000 0.0000
Co2 0.0000 0.0000 0.5000
Co3 0.0000 0.5000 0.0000
Co4 0.0000 0.5000 0.5000
Co5 0.5000 0.0000 0.5000
Co6 0.5000 0.5000 0.0000
Ni1 0.5000 0.0000 0.0000
Ni2 0.5000 0.5000 0.5000
O1 0.2119 0.6487 0.3952
O2 0.2189 0.1433 0.8890
O3 0.2291 0.8800 0.6162
O4 0.2523 0.3599 0.6069
O5 0.2577 0.0981 0.3851
O6 0.2643 0.6191 0.8839
O7 0.2662 0.3835 0.1136
O8 0.2673 0.8494 0.1112
O9 0.7327 0.1506 0.8888
O10 0.7338 0.6165 0.8864
O11 0.7357 0.3809 0.1161
O12 0.7423 0.9019 0.6149
O13 0.7477 0.6401 0.3931
O14 0.7709 0.1200 0.3838
O15 0.7811 0.8567 0.1110
O16 0.7881 0.3513 0.6048

Results
space-group type = P-1, No. 2
total magnetic moment = 5.68 Bohr magnetons per cell

---

--- B ---
This record from the Materials Project database describes a relaxed structure of Li4Co3NiO8. The functional is GGA+U.

Cell lengths 5.9042, 5.9042, 10.2266 Å; angles 107.14, 107.14, 58.84 degrees
Sites, in units of the cell vectors:
Li1 0.0000 0.5000 0.0000
Li2 0.0000 0.5000 0.5000
Li3 0.2485 0.2485 0.2436
Li4 0.2499 0.2499 0.7497
Li5 0.5000 0.0000 0.0000
Li6 0.5000 0.0000 0.5000
Li7 0.7501 0.7501 0.2503
Li8 0.7515 0.7515 0.7564
Co1 0.0000 0.0000 0.5000
Co2 0.2488 0.7491 0.2502
Co3 0.2509 0.7512 0.7498
Co4 0.5000 0.5000 0.0000
Co5 0.7491 0.2488 0.2502
Co6 0.7512 0.2509 0.7498
Ni1 0.0000 0.0000 0.0000
Ni2 0.5000 0.5000 0.5000
O1 0.1127 0.1127 0.3801
O2 0.1133 0.1133 0.8622
O3 0.1209 0.6573 0.3838
O4 0.1441 0.6246 0.8771
O5 0.3427 0.8791 0.6162
O6 0.3754 0.8559 0.1229
O7 0.3800 0.3800 0.1283
O8 0.3897 0.3897 0.6356
O9 0.6103 0.6103 0.3644
O10 0.6200 0.6200 0.8717
O11 0.6246 0.1441 0.8771
O12 0.6573 0.1209 0.3838
O13 0.8559 0.3754 0.1229
O14 0.8791 0.3427 0.6162
O15 0.8867 0.8867 0.1378
O16 0.8873 0.8873 0.6199

Results
space-group type = C2/m, No. 12
total magnetic moment = 6.00 Bohr magnetons per cell

---

Of them, B has the highest stability.

---

--- A ---
This record from the Materials Project database describes a relaxed structure of Mg2FeO4. The functional is GGA+U.

Cell lengths 6.0106, 6.0106, 6.0106 Å; angles 60.00, 60.00, 60.00 degrees
Sites, in units of the cell vectors:
Mg1 0.0000 0.0000 0.0000
Mg2 0.0000 0.0000 0.5000
Mg3 0.0000 0.5000 0.0000
Mg4 0.5000 0.0000 0.0000
Fe1 0.3750 0.3750 0.3750
Fe2 0.6250 0.6250 0.6250
O1 0.2394 0.7535 0.7535
O2 0.2465 0.2465 0.2465
O3 0.2465 0.2465 0.7606
O4 0.2465 0.7606 0.2465
O5 0.7535 0.2394 0.7535
O6 0.7535 0.7535 0.2394
O7 0.7535 0.7535 0.7535
O8 0.7606 0.2465 0.2465

Results
space-group type = Fd-3m, No. 227
total magnetic moment = 8.00 Bohr magnetons per cell

---

--- B ---
This record from the Materials Project database describes a relaxed structure of Mg2FeO4. The functional is GGA+U.

Cell lengths 5.1629, 5.9187, 11.0265 Å; angles 90.00, 117.86, 90.00 degrees
Sites, in units of the cell vectors:
Mg1 0.0043 0.1148 0.2459
Mg2 0.0043 0.3852 0.7459
Mg3 0.2920 0.6296 0.5389
Mg4 0.2920 0.8704 0.0389
Mg5 0.7080 0.1296 0.9611
Mg6 0.7080 0.3704 0.4611
Mg7 0.9957 0.6148 0.2541
Mg8 0.9957 0.8852 0.7541
Fe1 0.2711 0.1307 0.5285
Fe2 0.2711 0.3693 0.0285
Fe3 0.7289 0.6307 0.9715
Fe4 0.7289 0.8693 0.4715
O1 0.1811 0.1384 0.1153
O2 0.1811 0.3616 0.6153
O3 0.1840 0.6020 0.1199
O4 0.1840 0.8980 0.6199
O5 0.2651 0.1411 0.8924
O6 0.2651 0.3589 0.3924
O7 0.2935 0.6208 0.8924
O8 0.2935 0.8792 0.3924
O9 0.7065 0.1208 0.6076
O10 0.7065 0.3792 0.1076
O11 0.7349 0.6411 0.6076
O12 0.7349 0.8589 0.1076
O13 0.8160 0.1020 0.3801
O14 0.8160 0.3980 0.8801
O15 0.8189 0.6384 0.3847
O16 0.8189 0.8616 0.8847

Results
space-group type = P2_1/c, No. 14
total magnetic moment = 16.00 Bohr magnetons per cell

---

Of them, A has the highest stability.

---

--- A ---
This record from the Materials Project database describes a relaxed structure of Li2MnSiO4. The functional is GGA+U.

Cell lengths 5.3393, 5.3393, 6.3835 Å; angles 90.00, 90.00, 106.58 degrees
Sites, in units of the cell vectors:
Li1 0.0000 0.5000 0.7500
O1 0.6762 0.9037 0.5000
Li2 0.0000 0.5000 0.2500
Mn1 0.0000 0.0000 0.0000
O2 0.1762 0.4037 0.0000
O3 0.1138 0.8862 0.7101
O4 0.6138 0.3862 0.2101
O5 0.0963 0.3238 0.5000
O6 0.6138 0.3862 0.7899
O7 0.5963 0.8238 0.0000
Li3 0.5000 0.0000 0.2500
Li4 0.5000 0.0000 0.7500
Mn2 0.5000 0.5000 0.5000
Si1 0.0000 0.0000 0.5000
Si2 0.5000 0.5000 0.0000
O8 0.1138 0.8862 0.2899

Results
total magnetic moment = 0.00 Bohr magnetons per cell
largest piezoelectric modulus = 0.74 C/m²

---

--- B ---
This record from the Materials Project database describes a relaxed structure of Li2MnSiO4. The functional is GGA+U.

Cell lengths 10.8963, 6.4051, 5.0868 Å; angles 90.00, 90.00, 90.00 degrees
Sites, in units of the cell vectors:
Li1 0.1675 0.0029 0.2067
Li2 0.1675 0.4971 0.2067
Li3 0.3325 0.5029 0.7067
Li4 0.3325 0.9971 0.7067
Li5 0.6675 0.0029 0.2933
Li6 0.6675 0.4971 0.2933
Li7 0.8325 0.5029 0.7933
Li8 0.8325 0.9971 0.7933
Mn1 0.0788 0.7500 0.7911
Mn2 0.4212 0.2500 0.2911
Mn3 0.5788 0.7500 0.7089
Mn4 0.9212 0.2500 0.2089
Si1 0.0906 0.2500 0.6946
Si2 0.4094 0.7500 0.1946
Si3 0.5906 0.2500 0.8054
Si4 0.9094 0.7500 0.3054
O1 0.0554 0.7500 0.2143
O2 0.0958 0.2500 0.3693
O3 0.1621 0.0405 0.8064
O4 0.1621 0.4595 0.8064
O5 0.3379 0.5405 0.3064
O6 0.3379 0.9595 0.3064
O7 0.4042 0.7500 0.8693
O8 0.4446 0.2500 0.7143
O9 0.5554 0.7500 0.2857
O10 0.5958 0.2500 0.1307
O11 0.6621 0.0405 0.6936
O12 0.6621 0.4595 0.6936
O13 0.8379 0.5405 0.1936
O14 0.8379 0.9595 0.1936
O15 0.9042 0.7500 0.6307
O16 0.9446 0.2500 0.7857

Results
space-group type = Pnma, No. 62
total magnetic moment = 20.00 Bohr magnetons per cell

---

Of them, B has the highest stability.